Entry 1:
A plane-wave DFT calculation with PBE with a Hubbard U was carried out for crystalline Li2VO2F at its relaxed geometry.

abc: 3.0235 7.3627 10.4139
angles: 89.01 89.88 89.94
Atoms (fractional coordinates):
Li1 0.4980 0.1311 0.0749
Li2 0.5001 0.1509 0.5767
Li3 0.0020 0.1374 0.8450
Li4 0.4999 0.8781 0.9415
Li5 0.0001 0.8517 0.6631
Li6 0.4994 0.8391 0.4113
Li7 0.0002 0.1561 0.3258
Li8 0.9995 0.8578 0.1550
O1 0.4965 0.3500 0.4204
O2 0.5137 0.6481 0.0850
O3 0.0174 0.3528 0.1738
O4 0.9993 0.0036 0.0005
O5 0.9964 0.6547 0.3367
O6 0.4923 0.3694 0.9142
O7 0.4884 0.6489 0.5867
O8 0.9940 0.3411 0.6662
F1 0.0019 0.6533 0.8231
F2 0.4998 0.0011 0.2601
F3 0.9998 0.9993 0.4994
F4 0.4996 0.9965 0.7388
V1 0.9914 0.5005 0.4989
V2 0.5038 0.4807 0.7411
V3 0.9990 0.4947 0.0088
V4 0.5074 0.5030 0.2532

Output
The polymorph energy (0 for the lowest one) comes out at 0.59 eV per formula unit. Its space-group type is P1, No. 1. Its formation enthalpy at 0 K is -2.62 eV per atom.


Entry 2:
A plane-wave DFT calculation with PBE with a Hubbard U was carried out for crystalline LiV4OF11 at its relaxed geometry.

abc: 5.2577 5.5229 9.0358
angles: 73.32 89.57 61.96
Atoms (fractional coordinates):
F1 0.5730 0.2563 0.3275
F2 0.0682 0.2522 0.8230
F3 0.4332 0.7387 0.0694
F4 0.4915 0.7577 0.3771
F5 0.0106 0.7610 0.8658
F6 0.4291 0.7435 0.6766
F7 0.0694 0.2566 0.4304
F8 0.4742 0.2552 0.6208
F9 0.5635 0.2516 0.9306
F10 0.9422 0.7438 0.5583
F11 0.0010 0.2336 0.1296
V1 0.2487 0.4936 0.7571
V2 0.9950 0.9880 0.0085
V3 0.7610 0.5173 0.2383
V4 0.4992 0.9992 0.5011
O1 0.9313 0.7499 0.1831
Li1 0.1419 0.7148 0.3703

Output
The polymorph energy (0 for the lowest one) comes out at 0.17 eV per formula unit. Its space-group type is P1, No. 1. Its formation enthalpy at 0 K is -3.11 eV per atom.


What is the formula in the first record? Li2VO2F


Which of these has the highest polymorph energy (0 for the lowest one)? Li2VO2F


Repeat the first record exactly.
A plane-wave DFT calculation with PBE with a Hubbard U was carried out for crystalline Li2VO2F at its relaxed geometry.

abc: 3.0235 7.3627 10.4139
angles: 89.01 89.88 89.94
Atoms (fractional coordinates):
Li1 0.4980 0.1311 0.0749
Li2 0.5001 0.1509 0.5767
Li3 0.0020 0.1374 0.8450
Li4 0.4999 0.8781 0.9415
Li5 0.0001 0.8517 0.6631
Li6 0.4994 0.8391 0.4113
Li7 0.0002 0.1561 0.3258
Li8 0.9995 0.8578 0.1550
O1 0.4965 0.3500 0.4204
O2 0.5137 0.6481 0.0850
O3 0.0174 0.3528 0.1738
O4 0.9993 0.0036 0.0005
O5 0.9964 0.6547 0.3367
O6 0.4923 0.3694 0.9142
O7 0.4884 0.6489 0.5867
O8 0.9940 0.3411 0.6662
F1 0.0019 0.6533 0.8231
F2 0.4998 0.0011 0.2601
F3 0.9998 0.9993 0.4994
F4 0.4996 0.9965 0.7388
V1 0.9914 0.5005 0.4989
V2 0.5038 0.4807 0.7411
V3 0.9990 0.4947 0.0088
V4 0.5074 0.5030 0.2532

Output
The polymorph energy (0 for the lowest one) comes out at 0.59 eV per formula unit. Its space-group type is P1, No. 1. Its formation enthalpy at 0 K is -2.62 eV per atom.


The lowest formation enthalpy at 0 K belongs to which entry? LiV4OF11